[1]
First-principles (meta-GGA r2SCAN) data for crystalline Pr3RuI3 at its relaxed geometry, as listed in Materials Project.

Values from the calculation:
- calculated formation energy (eV/f.u.) = -8.27
- uncorrected energy (eV/cell) = -391.2
- crystal system = monoclinic

Unit cell a=9.356 b=4.341 c=12.620 alpha=90.00 beta=93.05 gamma=90.00
Atoms (fractional coordinates):
Pr  0.098  0.250  0.391
Pr  0.115  0.250  0.830
Pr  0.307  0.750  0.618
Pr  0.693  0.250  0.382
Pr  0.885  0.750  0.170
Pr  0.902  0.750  0.609
Ru  0.107  0.250  0.620
Ru  0.893  0.750  0.380
I  0.135  0.250  0.117
I  0.367  0.750  0.876
I  0.397  0.750  0.365
I  0.603  0.250  0.635
I  0.633  0.250  0.124
I  0.865  0.750  0.883

***

[2]
First-principles (meta-GGA r2SCAN) data for crystalline V5Si3N at its relaxed geometry, as listed in Materials Project.

Values from the calculation:
- calculated formation energy (eV/f.u.) = -6.95
- uncorrected energy (eV/cell) = -225.7
- crystal system = hexagonal

Unit cell a=7.056 b=7.056 c=4.938 alpha=90.00 beta=90.00 gamma=120.00
Atoms (fractional coordinates):
V  0.000  0.229  0.250
V  0.000  0.771  0.750
V  0.229  0.000  0.250
V  0.229  0.229  0.750
V  0.333  0.667  0.000
V  0.333  0.667  0.500
V  0.667  0.333  0.000
V  0.667  0.333  0.500
V  0.771  0.000  0.750
V  0.771  0.771  0.250
Si  0.000  0.410  0.750
Si  0.000  0.590  0.250
Si  0.410  0.000  0.750
Si  0.410  0.410  0.250
Si  0.590  0.000  0.250
Si  0.590  0.590  0.750
N  0.000  0.000  0.000
N  0.000  0.000  0.500

***

[3]
First-principles (meta-GGA r2SCAN) data for crystalline Hf3As2 at its relaxed geometry, as listed in Materials Project.

Values from the calculation:
- calculated formation energy (eV/f.u.) = -5.13
- uncorrected energy (eV/cell) = -680.0
- crystal system = orthorhombic

Unit cell a=10.491 b=3.660 c=10.046 alpha=90.00 beta=90.00 gamma=90.00
Atoms (fractional coordinates):
Hf  0.044  0.250  0.125
Hf  0.127  0.750  0.569
Hf  0.213  0.250  0.796
Hf  0.287  0.750  0.296
Hf  0.373  0.250  0.069
Hf  0.456  0.750  0.625
Hf  0.544  0.250  0.375
Hf  0.627  0.750  0.931
Hf  0.713  0.250  0.704
Hf  0.787  0.750  0.204
Hf  0.873  0.250  0.431
Hf  0.956  0.750  0.875
As  0.032  0.750  0.324
As  0.194  0.750  0.001
As  0.306  0.250  0.501
As  0.468  0.250  0.824
As  0.532  0.750  0.176
As  0.694  0.750  0.499
As  0.806  0.250  0.999
As  0.968  0.250  0.676

***

[4]
First-principles (meta-GGA r2SCAN) data for crystalline NaB15 at its relaxed geometry, as listed in Materials Project.

Values from the calculation:
- calculated formation energy (eV/f.u.) = -1.26
- uncorrected energy (eV/cell) = -230.0
- crystal system = orthorhombic

Unit cell a=7.253 b=7.253 c=7.253 alpha=132.54 beta=89.94 gamma=108.96
Atoms (fractional coordinates):
Na  0.412  0.162  0.250
Na  0.588  0.838  0.750
B  0.006  0.756  0.250
B  0.042  0.896  0.145
B  0.046  0.217  0.334
B  0.046  0.712  0.829
B  0.049  0.651  0.397
B  0.213  0.505  0.387
B  0.213  0.548  0.665
B  0.213  0.826  0.708
B  0.246  0.349  0.897
B  0.251  0.896  0.355
B  0.381  0.174  0.887
B  0.381  0.495  0.208
B  0.383  0.217  0.671
B  0.383  0.548  0.835
B  0.383  0.712  0.166
B  0.617  0.288  0.834
B  0.617  0.452  0.165
B  0.617  0.783  0.329
B  0.619  0.505  0.792
B  0.619  0.826  0.113
B  0.749  0.104  0.645
B  0.754  0.651  0.103
B  0.787  0.174  0.292
B  0.787  0.452  0.335
B  0.787  0.495  0.613
B  0.951  0.349  0.603
B  0.954  0.288  0.171
B  0.954  0.783  0.666
B  0.958  0.104  0.855
B  0.994  0.244  0.750